## Na2Mn2O3 (PBE with a Hubbard U)

Data for a relaxed structure of Na2Mn2O3.

Calculated values
- maximum piezoelectric response (C/m²) = 0.01
- excess energy over the best structure of this formula in the dataset (eV per formula unit) = 0.00

```
data_Na2Mn2O3
_chemical_formula_sum 'Na8 Mn8 O12'
_cell_length_a 6.4872
_cell_length_b 6.4876
_cell_length_c 9.4665
_cell_angle_alpha 90.00
_cell_angle_beta 90.00
_cell_angle_gamma 90.03
_space_group_name_H-M_alt 'P 1'
_space_group_IT_number 1
_space_group_name_Hall 'P 1'
loop_
_atom_site_label
_atom_site_type_symbol
_atom_site_fract_x
_atom_site_fract_y
_atom_site_fract_z
Na1 Na 0.5205 0.7417 0.3627
Na2 Na 0.4794 0.2584 0.8626
Na3 Na 0.2416 0.9793 0.6126
Na4 Na 0.7584 0.0207 0.1126
Na5 Na 0.0206 0.7585 0.8874
Na6 Na 0.9794 0.2416 0.3874
Na7 Na 0.2583 0.4793 0.1374
Na8 Na 0.7415 0.5206 0.6374
Mn1 Mn 0.7469 0.0411 0.6356
Mn2 Mn 0.7532 0.5411 0.1144
Mn3 Mn 0.2534 0.9588 0.1355
Mn4 Mn 0.2468 0.4587 0.6143
Mn5 Mn 0.4587 0.2470 0.3856
Mn6 Mn 0.9589 0.2534 0.8645
Mn7 Mn 0.5411 0.7533 0.8857
Mn8 Mn 0.0411 0.7467 0.3643
O1 O 0.1900 0.1899 0.0001
O2 O 0.6900 0.3102 0.2500
O3 O 0.8101 0.8100 0.5000
O4 O 0.3101 0.6897 0.7500
O5 O 0.7446 0.9999 0.8554
O6 O 0.2554 0.0002 0.3553
O7 O 0.2446 0.5002 0.3947
O8 O 0.0002 0.2553 0.6448
O9 O 0.4998 0.7554 0.1054
O10 O 0.5002 0.2445 0.6053
O11 O 0.7554 0.4999 0.8947
O12 O 0.9998 0.7446 0.1446
```

## Ba2TlV2O7 (PBE with a Hubbard U)

Data for a relaxed structure of Ba2TlV2O7.

Calculated values
- total magnetic moment (μB/atom) = 0.1103

```
data_Ba2TlV2O7
_chemical_formula_sum 'Ba2 Tl1 V2 O7'
_cell_length_a 3.8113
_cell_length_b 3.8842
_cell_length_c 13.5824
_cell_angle_alpha 89.57
_cell_angle_beta 90.00
_cell_angle_gamma 90.00
_space_group_name_H-M_alt 'P 1'
_space_group_IT_number 1
_space_group_name_Hall 'P 1'
loop_
_atom_site_label
_atom_site_type_symbol
_atom_site_fract_x
_atom_site_fract_y
_atom_site_fract_z
Ba1 Ba 0.0000 0.0017 0.7059
Ba2 Ba 0.0000 0.0060 0.2967
Tl1 Tl 0.5000 0.5027 0.5005
V1 V 0.5000 0.4990 0.8534
V2 V 0.5000 0.5307 0.1457
O1 O 0.0000 0.9979 0.4994
O2 O 0.0000 0.4993 0.8693
O3 O 0.5000 0.9991 0.8597
O4 O 0.0000 0.4809 0.1388
O5 O 0.5000 0.9809 0.1309
O6 O 0.5000 0.5017 0.7179
O7 O 0.5000 0.5004 0.2819
```

## Li10Fe3Co3Ni2O16 (PBE with a Hubbard U)

Data for a relaxed structure of Li10Fe3Co3Ni2O16.

Calculated values
- total magnetic moment (μB/atom) = 0.8529

```
data_Li10Fe3Co3Ni2O16
_chemical_formula_sum 'Li10 Fe3 Co3 Ni2 O16'
_cell_length_a 5.8662
_cell_length_b 5.8768
_cell_length_c 9.7159
_cell_angle_alpha 90.49
_cell_angle_beta 90.25
_cell_angle_gamma 119.68
_space_group_name_H-M_alt 'P 1'
_space_group_IT_number 1
_space_group_name_Hall 'P 1'
loop_
_atom_site_label
_atom_site_type_symbol
_atom_site_fract_x
_atom_site_fract_y
_atom_site_fract_z
Li1 Li 0.9923 0.9802 0.5141
Li2 Li 0.9826 0.9864 0.0199
Li3 Li 0.1815 0.8019 0.9422
Li4 Li 0.3657 0.1837 0.4416
Li5 Li 0.5781 0.7766 0.9473
Li6 Li 0.1765 0.3648 0.9434
Li7 Li 0.7729 0.5836 0.4434
Li8 Li 0.3179 0.6445 0.7177
Li9 Li 0.6451 0.3193 0.2177
Li10 Li 0.7992 0.1867 0.4362
Fe1 Fe 0.8203 0.6461 0.7157
Fe2 Fe 0.8201 0.1512 0.7138
Fe3 Fe 0.6417 0.8177 0.2163
Co1 Co 0.3288 0.1526 0.7130
Co2 Co 0.1514 0.8215 0.2130
Co3 Co 0.1516 0.3256 0.2127
Ni1 Ni 0.6610 0.3232 0.9727
Ni2 Ni 0.3210 0.6578 0.4687
O1 O 0.0071 0.9945 0.8258
O2 O 0.9969 0.9991 0.3212
O3 O 0.3046 0.1476 0.1014
O4 O 0.1578 0.8267 0.6002
O5 O 0.4936 0.4712 0.8321
O6 O 0.0076 0.5043 0.3271
O7 O 0.3046 0.6481 0.1007
O8 O 0.6487 0.3119 0.5953
O9 O 0.4974 0.0042 0.8323
O10 O 0.4690 0.9737 0.3307
O11 O 0.1562 0.3044 0.5966
O12 O 0.8243 0.6650 0.0973
O13 O 0.4684 0.4907 0.3294
O14 O 0.9779 0.4796 0.8332
O15 O 0.6677 0.8186 0.5914
O16 O 0.8254 0.1531 0.0985
```

## PrCoO3 (PBE with a Hubbard U)

Data for a relaxed structure of PrCoO3.

```
data_PrCoO3
_chemical_formula_sum 'Pr4 Co4 O12'
_cell_length_a 5.4851
_cell_length_b 5.5226
_cell_length_c 7.7214
_cell_angle_alpha 90.00
_cell_angle_beta 90.00
_cell_angle_gamma 90.00
_space_group_name_H-M_alt 'P 1'
_space_group_IT_number 1
_space_group_name_Hall 'P 1'
loop_
_atom_site_label
_atom_site_type_symbol
_atom_site_fract_x
_atom_site_fract_y
_atom_site_fract_z
Pr1 Pr 0.0102 0.9575 0.7500
Pr2 Pr 0.4898 0.4575 0.7500
Pr3 Pr 0.5102 0.5425 0.2500
Pr4 Pr 0.9898 0.0425 0.2500
Co1 Co 0.5000 0.0000 0.5000
Co2 Co 0.0000 0.5000 0.0000
Co3 Co 0.0000 0.5000 0.5000
Co4 Co 0.5000 0.0000 0.0000
O1 O 0.7182 0.2826 0.4594
O2 O 0.7818 0.7826 0.0406
O3 O 0.2182 0.2174 0.5406
O4 O 0.2818 0.7174 0.9594
O5 O 0.2818 0.7174 0.5406
O6 O 0.2182 0.2174 0.9594
O7 O 0.7818 0.7826 0.4594
O8 O 0.7182 0.2826 0.0406
O9 O 0.0758 0.4885 0.2500
O10 O 0.4242 0.9885 0.2500
O11 O 0.5758 0.0115 0.7500
O12 O 0.9242 0.5115 0.7500
```

## MgFe6O6F6 (PBE with a Hubbard U)

Data for a relaxed structure of MgFe6O6F6.

Calculated values
- total magnetic moment (μB/atom) = 1.4737
- excess energy over the best structure of this formula in the dataset (eV per formula unit) = 0.99

```
data_MgFe6O6F6
_chemical_formula_sum 'Mg1 Fe6 O6 F6'
_cell_length_a 5.2989
_cell_length_b 5.3655
_cell_length_c 8.7876
_cell_angle_alpha 87.18
_cell_angle_beta 94.70
_cell_angle_gamma 92.54
_space_group_name_H-M_alt 'P 1'
_space_group_IT_number 1
_space_group_name_Hall 'P 1'
loop_
_atom_site_label
_atom_site_type_symbol
_atom_site_fract_x
_atom_site_fract_y
_atom_site_fract_z
Mg1 Mg 0.4789 0.9616 0.0400
Fe1 Fe 0.9516 0.9078 0.9930
Fe2 Fe 0.0436 0.0735 0.3303
Fe3 Fe 0.0851 0.0433 0.6696
Fe4 Fe 0.4390 0.5487 0.8329
Fe5 Fe 0.5896 0.4256 0.1962
Fe6 Fe 0.3914 0.5670 0.4940
O1 O 0.1829 0.8517 0.5013
O2 O 0.2312 0.8362 0.8486
O3 O 0.2942 0.3470 0.6694
O4 O 0.2907 0.3461 0.3301
O5 O 0.6647 0.6529 0.0069
O6 O 0.7891 0.1155 0.1586
F1 F 0.2243 0.8602 0.1825
F2 F 0.3216 0.2822 0.9914
F3 F 0.6498 0.6854 0.6715
F4 F 0.6714 0.6755 0.3654
F5 F 0.8275 0.1370 0.8091
F6 F 0.8460 0.1830 0.4950
```

## NaMgVO3 (PBE with a Hubbard U)

Data for a relaxed structure of NaMgVO3.

Calculated values
- total magnetic moment (μB/atom) = 0.3328
- excess energy over the best structure of this formula in the dataset (eV per formula unit) = 0.54

```
data_NaMgVO3
_chemical_formula_sum 'Na1 Mg1 V1 O3'
_cell_length_a 4.1980
_cell_length_b 4.1980
_cell_length_c 4.1980
_cell_angle_alpha 83.00
_cell_angle_beta 83.00
_cell_angle_gamma 83.00
_space_group_name_H-M_alt 'P 1'
_space_group_IT_number 1
_space_group_name_Hall 'P 1'
loop_
_atom_site_label
_atom_site_type_symbol
_atom_site_fract_x
_atom_site_fract_y
_atom_site_fract_z
Na1 Na 0.3797 0.3797 0.3797
Mg1 Mg 0.7167 0.7167 0.7167
V1 V 0.0403 0.0403 0.0403
O1 O 0.5237 0.0180 0.0180
O2 O 0.0180 0.5237 0.0180
O3 O 0.0180 0.0180 0.5237
```

Number 1: formation energy from the elements -1.80 eV per atom, raw total energy -6.145 eV/atom. Number 2: formation energy from the elements -2.29 eV per atom, raw total energy -6.522 eV/atom. Number 3: formation energy from the elements -1.69 eV per atom, raw total energy -5.480 eV/atom. Number 4: formation energy from the elements -2.51 eV per atom, raw total energy -7.112 eV/atom. Number 5: formation energy from the elements -2.09 eV per atom, raw total energy -5.942 eV/atom. Number 6: formation energy from the elements -1.99 eV per atom, raw total energy -5.842 eV/atom.